Entry from the Materials Project database: a relaxed CeMg5 crystal (PBE).

Output
Magnetic moment, μB/cell: 3.38
ρ, g/cm3: 2.9
Electronic total energy, eV for the cell shown: -39.7
Energy of formation from the pure elements, eV/atom: 0.12

CIF file:
```
data_CeMg5
_chemical_formula_sum 'Ce3 Mg15'
_space_group_name_H-M_alt 'R 3 2'
_space_group_IT_number 155
_space_group_name_Hall 'R 3 2"'
_cell_length_a 5.6188
_cell_length_b 5.6188
_cell_length_c 16.4330
_cell_angle_alpha 90.00
_cell_angle_beta 90.00
_cell_angle_gamma 120.00
loop_
_atom_site_label
_atom_site_fract_x
_atom_site_fract_y
_atom_site_fract_z
Ce1 0.0000 0.0000 0.0000
Mg1 0.0000 0.0000 0.3334
Mg2 0.0000 0.6686 0.5000
```